--- P ---
An optimized crystal structure of BaLaCl5, computed with PBE.

```
data_BaLaCl5
_chemical_formula_sum 'Ba8 La8 Cl40'
_symmetry_space_group_name_H-M 'P n m a'
_symmetry_Int_Tables_number 62
_symmetry_space_group_name_Hall '-P 2ac 2n'
_cell_length_a 15.532
_cell_length_b 7.284
_cell_length_c 14.645
_cell_angle_alpha 90.00
_cell_angle_beta 90.00
_cell_angle_gamma 90.00
loop_
_atom_site_label
_atom_site_fract_x
_atom_site_fract_y
_atom_site_fract_z
Ba1 0.095 0.250 0.185
Ba2 0.102 0.750 0.480
La1 0.104 0.250 0.785
La2 0.220 0.750 0.965
Cl1 0.025 0.512 0.672
Cl2 0.073 0.750 0.162
Cl3 0.078 0.518 0.923
Cl4 0.096 0.250 0.484
Cl5 0.224 0.513 0.328
Cl6 0.246 0.524 0.593
```



--- Q ---
An optimized crystal structure of BaLaCl5, computed with PBE.

```
data_BaLaCl5
_chemical_formula_sum 'Ba8 La8 Cl40'
_symmetry_space_group_name_H-M 'P 1 21/c 1'
_symmetry_Int_Tables_number 14
_symmetry_space_group_name_Hall '-P 2ybc'
_cell_length_a 10.024
_cell_length_b 15.774
_cell_length_c 10.538
_cell_angle_alpha 90.00
_cell_angle_beta 102.87
_cell_angle_gamma 90.00
loop_
_atom_site_label
_atom_site_fract_x
_atom_site_fract_y
_atom_site_fract_z
Ba1 0.215 0.017 0.325
Ba2 0.284 0.030 0.799
La1 0.062 0.743 0.538
La2 0.485 0.735 0.389
Cl1 0.022 0.077 0.896
Cl2 0.023 0.172 0.239
Cl3 0.029 0.092 0.565
Cl4 0.224 0.243 0.033
Cl5 0.231 0.679 0.804
Cl6 0.280 0.634 0.482
Cl7 0.304 0.647 0.145
Cl8 0.416 0.062 0.123
Cl9 0.423 0.211 0.834
Cl10 0.442 0.084 0.571
```



The structure with the most favorable energy is Q; the runner-up is 26 meV/atom above it.



--- P ---
An optimized crystal structure of BaCl2O2, computed with PBE.

```
data_BaCl2O2
_chemical_formula_sum 'Ba4 Cl8 O8'
_symmetry_space_group_name_H-M 'P 1 21/c 1'
_symmetry_Int_Tables_number 14
_symmetry_space_group_name_Hall '-P 2ybc'
_cell_length_a 5.703
_cell_length_b 10.412
_cell_length_c 9.708
_cell_angle_alpha 90.00
_cell_angle_beta 122.09
_cell_angle_gamma 90.00
loop_
_atom_site_label
_atom_site_fract_x
_atom_site_fract_y
_atom_site_fract_z
Ba1 0.228 0.208 0.410
Cl1 0.124 0.597 0.910
Cl2 0.312 0.582 0.584
O1 0.170 0.130 0.118
O2 0.317 0.729 0.778
```



--- Q ---
An optimized crystal structure of BaCl2O2, computed with PBE.

```
data_BaCl2O2
_chemical_formula_sum 'Ba4 Cl8 O8'
_symmetry_space_group_name_H-M 'P 1 21/c 1'
_symmetry_Int_Tables_number 14
_symmetry_space_group_name_Hall '-P 2ybc'
_cell_length_a 6.413
_cell_length_b 9.797
_cell_length_c 9.626
_cell_angle_alpha 90.00
_cell_angle_beta 130.45
_cell_angle_gamma 90.00
loop_
_atom_site_label
_atom_site_fract_x
_atom_site_fract_y
_atom_site_fract_z
Ba1 0.215 0.230 0.035
Cl1 0.173 0.582 0.896
Cl2 0.347 0.594 0.579
O1 0.252 0.690 0.313
O2 0.330 0.125 0.350
```



The structure with the most favorable energy is P; the runner-up is 25 meV/atom above it.



--- P ---
An optimized crystal structure of Ba5Ru2Cl2O9, computed with PBE.

```
data_Ba5Ru2Cl2O9
_chemical_formula_sum 'Ba20 Ru8 Cl8 O36'
_symmetry_space_group_name_H-M 'P n m a'
_symmetry_Int_Tables_number 62
_symmetry_space_group_name_Hall '-P 2ac 2n'
_cell_length_a 15.575
_cell_length_b 6.030
_cell_length_c 14.528
_cell_angle_alpha 90.00
_cell_angle_beta 90.00
_cell_angle_gamma 90.00
loop_
_atom_site_label
_atom_site_fract_x
_atom_site_fract_y
_atom_site_fract_z
Ba1 0.002 0.250 0.230
Ba2 0.070 0.750 0.058
Ba3 0.127 0.750 0.480
Ba4 0.209 0.250 0.672
Ba5 0.240 0.750 0.854
Ru1 0.154 0.250 0.938
Ru2 0.197 0.250 0.125
Cl1 0.009 0.250 0.686
Cl2 0.073 0.250 0.445
O1 0.080 0.250 0.056
O2 0.091 0.009 0.887
O3 0.157 0.022 0.204
O4 0.183 0.750 0.670
O5 0.227 0.022 0.020
O6 0.246 0.250 0.851
```



--- Q ---
An optimized crystal structure of Ba5Ru2Cl2O9, computed with PBE.

```
data_Ba5Ru2Cl2O9
_chemical_formula_sum 'Ba10 Ru4 Cl4 O18'
_symmetry_space_group_name_H-M 'P 63/m m c'
_symmetry_Int_Tables_number 194
_symmetry_space_group_name_Hall '-P 6c 2c'
_cell_length_a 5.9221
_cell_length_b 5.9221
_cell_length_c 25.2149
_cell_angle_alpha 90.00
_cell_angle_beta 90.00
_cell_angle_gamma 120.00
loop_
_atom_site_label
_atom_site_fract_x
_atom_site_fract_y
_atom_site_fract_z
Ba1 0.3333 0.6667 0.0818
Ba2 0.3333 0.6667 0.2500
Ba3 0.3333 0.6667 0.6711
Ru1 0.0000 0.0000 0.1933
Cl1 0.3333 0.6667 0.5460
O1 0.1510 0.3019 0.7500
O2 0.1600 0.3200 0.1553
```



The structure with the most favorable energy is Q; the runner-up is 44 meV/atom above it.



--- P ---
An optimized crystal structure of Ba2YCl7, computed with PBE.

```
data_Ba2YCl7
_chemical_formula_sum 'Ba8 Y4 Cl28'
_symmetry_space_group_name_H-M 'C 1 2/c 1'
_symmetry_Int_Tables_number 15
_symmetry_space_group_name_Hall '-C 2yc'
_cell_length_a 16.649
_cell_length_b 8.185
_cell_length_c 10.391
_cell_angle_alpha 90.00
_cell_angle_beta 128.14
_cell_angle_gamma 90.00
loop_
_atom_site_label
_atom_site_fract_x
_atom_site_fract_y
_atom_site_fract_z
Ba1 0.189 0.008 0.281
Y1 0.000 0.466 0.750
Cl1 0.000 0.112 0.750
Cl2 0.088 0.347 0.063
Cl3 0.124 0.267 0.448
Cl4 0.190 0.379 0.849
```



--- Q ---
An optimized crystal structure of Ba2YCl7, computed with PBE.

```
data_Ba2YCl7
_chemical_formula_sum 'Ba8 Y4 Cl28'
_symmetry_space_group_name_H-M 'P 1 21/c 1'
_symmetry_Int_Tables_number 14
_symmetry_space_group_name_Hall '-P 2ybc'
_cell_length_a 7.688
_cell_length_b 14.304
_cell_length_c 12.109
_cell_angle_alpha 90.00
_cell_angle_beta 99.64
_cell_angle_gamma 90.00
loop_
_atom_site_label
_atom_site_fract_x
_atom_site_fract_y
_atom_site_fract_z
Ba1 0.172 0.066 0.171
Ba2 0.305 0.121 0.709
Y1 0.337 0.706 0.015
Cl1 0.026 0.743 0.884
Cl2 0.135 0.065 0.908
Cl3 0.179 0.590 0.140
Cl4 0.327 0.188 0.387
Cl5 0.348 0.626 0.608
Cl6 0.358 0.558 0.886
Cl7 0.499 0.703 0.362
```



The structure with the most favorable energy is Q; the runner-up is 19 meV/atom above it.